Computed, not measured: crystalline Li4MnVW2O12 at its relaxed geometry at the GGA+U level of DFT.

V   10.45 Å³ per atom
E_form   -45.43 eV/f.u.
Uncorrected energy   -0.5002 Ry/atom
Theoretical density   5.51 Mg/m³

Cell lengths 5.071, 9.747, 9.007 Å; angles 110.08, 89.16, 90.58 degrees
Sites, in units of the cell vectors:
Li: 0.997 0.432 0.138
Li: 0.997 0.932 0.639
Li: 0.511 0.935 0.157
Li: 0.511 0.435 0.657
Li: 0.996 0.163 0.390
Li: 0.996 0.663 0.890
Li: 0.494 0.694 0.396
Li: 0.494 0.194 0.896
Mn: 0.500 0.499 0.002
Mn: 0.500 0.999 0.502
V: 0.995 0.524 0.498
V: 0.995 0.024 0.998
W: 0.014 0.757 0.239
W: 0.014 0.257 0.739
W: 0.491 0.261 0.264
W: 0.491 0.761 0.764
O: 0.302 0.616 0.187
O: 0.302 0.116 0.687
O: 0.129 0.863 0.117
O: 0.129 0.363 0.617
O: 0.298 0.114 0.056
O: 0.298 0.614 0.556
O: 0.194 0.861 0.432
O: 0.194 0.361 0.932
O: 0.809 0.108 0.175
O: 0.809 0.608 0.675
O: 0.379 0.114 0.347
O: 0.379 0.614 0.847
O: 0.629 0.345 0.121
O: 0.629 0.845 0.621
O: 0.179 0.369 0.316
O: 0.179 0.869 0.816
O: 0.820 0.614 0.071
O: 0.820 0.114 0.571
O: 0.696 0.364 0.437
O: 0.696 0.864 0.937
O: 0.876 0.612 0.376
O: 0.876 0.112 0.876
O: 0.694 0.862 0.317
O: 0.694 0.362 0.817